# 1
Te4MoW | Materials Project | GGA-PBE | relaxed; space-group type = P3m1, No. 156; maximum piezoelectric response = 0.08 C/m²; E = -6.240 eV/atom; formation enthalpy at 0 K = -0.177 eV per atom
1.0
3.5523 0.0000 0.0000
-1.7762 3.0764 0.0000
0.0000 0.0000 25.0486
Te Mo W
4 1 1
Cartesian
0.0000 0.0000 0.0000 Te
0.0000 0.0000 3.6297 Te
0.0000 2.0509 17.5088 Te
0.0000 2.0509 21.1427 Te
0.0000 2.0509 1.8152 Mo
0.0000 0.0000 19.3250 W

=====

# 2
TiMo2 | Materials Project | GGA-PBE | relaxed; space-group type = Fmmm, No. 69; E = -9.950 eV/atom; formation enthalpy at 0 K = -0.088 eV per atom
1.0
0.0000 2.3007 6.6477
1.5777 0.0000 6.6477
1.5777 2.3007 0.0000
Ti Mo
1 2
Cartesian
0.0000 0.0000 0.0000 Ti
1.5777 2.3007 4.4085 Mo
1.5777 2.3007 8.8868 Mo

=====

# 3
TiMo | Materials Project | GGA-PBE | relaxed; space-group type = Cmmm, No. 65; magnetic moment = 0.00 μB per atom; E = -9.457 eV/atom; formation enthalpy at 0 K = -0.086 eV per atom
1.0
1.5936 -2.3604 0.0000
1.5936 2.3604 0.0000
0.0000 0.0000 4.2507
Ti Mo
1 1
Cartesian
0.0000 0.0000 0.0000 Ti
1.5936 0.0000 2.1254 Mo

=====

# 4
TiMo | Materials Project | GGA-PBE | relaxed; space-group type = Imma, No. 74; magnetic moment = 0.00 μB per atom; E = -8.670 eV/atom; formation enthalpy at 0 K = 0.701 eV per atom
1.0
-1.3281 2.6163 5.0103
1.3281 -2.6163 5.0103
1.3281 2.6163 -5.0103
Ti Mo
2 2
Cartesian
0.0000 1.3082 1.3099 Ti
1.3281 1.3082 3.7004 Ti
1.3281 -1.3082 3.7296 Mo
0.0000 3.9245 1.2807 Mo

=====

# 5
U7Mo | Materials Project | GGA-PBE | relaxed; space-group type = Pmmm, No. 47; magnetic moment = 0.01 μB per atom; E = -11.063 eV/atom; formation enthalpy at 0 K = 0.173 eV per atom
1.0
2.9985 0.0000 0.0000
0.0000 5.1471 0.0000
0.0000 0.0000 10.2608
U Mo
7 1
Cartesian
0.0000 0.0000 0.0000 U
0.0000 0.0000 5.1304 U
0.0000 2.5736 2.5474 U
0.0000 2.5736 7.7134 U
1.4993 0.0000 2.4385 U
1.4993 0.0000 7.8223 U
1.4993 2.5736 5.1304 U
1.4993 2.5736 0.0000 Mo

=====

# 6
VMo | Materials Project | GGA-PBE | relaxed; space-group type = P-6m2, No. 187; magnetic moment = 0.00 μB per atom; E = -9.621 eV/atom; formation enthalpy at 0 K = 0.344 eV per atom
1.0
2.6988 0.0000 0.0000
-1.3494 2.3372 0.0000
0.0000 0.0000 4.8004
V Mo
1 1
Cartesian
0.0000 0.0000 0.0000 V
0.0000 1.5581 2.4002 Mo

=====

# 7
VMo | Materials Project | GGA-PBE | relaxed; space-group type = Cmmm, No. 65; E = -10.067 eV/atom; formation enthalpy at 0 K = -0.102 eV per atom
1.0
1.5506 -2.2310 0.0000
1.5506 2.2310 0.0000
0.0000 0.0000 4.2464
V Mo
1 1
Cartesian
0.0000 0.0000 0.0000 V
1.5506 0.0000 2.1232 Mo

=====

# 8
V2MoW | Materials Project | GGA-PBE | relaxed; space-group type = Fm-3m, No. 225; E = -10.592 eV/atom; formation enthalpy at 0 K = -0.099 eV per atom
1.0
0.0000 3.0795 3.0795
3.0795 0.0000 3.0795
3.0795 3.0795 0.0000
V Mo W
2 1 1
Cartesian
1.5398 1.5398 1.5398 V
4.6193 4.6193 4.6193 V
0.0000 0.0000 0.0000 Mo
3.0795 3.0795 3.0795 W

=====

# 9
MoW | Materials Project | GGA-PBE | relaxed; space-group type = Cmmm, No. 65; E = -11.908 eV/atom; formation enthalpy at 0 K = -0.006 eV per atom
1.0
1.5882 -2.2532 0.0000
1.5882 2.2532 0.0000
0.0000 0.0000 4.5004
Mo W
1 1
Cartesian
0.0000 0.0000 0.0000 Mo
1.5882 0.0000 2.2502 W

=====

# 10
ZnMo3 | Materials Project | GGA-PBE | relaxed; space-group type = Pm-3m, No. 221; magnetic moment = 0.00 μB per atom; E = -8.275 eV/atom; formation enthalpy at 0 K = 0.175 eV per atom
1.0
3.9432 0.0000 0.0000
0.0000 3.9432 0.0000
0.0000 0.0000 3.9432
Zn Mo
1 3
Cartesian
0.0000 0.0000 0.0000 Zn
0.0000 1.9716 1.9716 Mo
1.9716 0.0000 1.9716 Mo
1.9716 1.9716 0.0000 Mo

=====

# 11
Zn6Mo | Materials Project | GGA-PBE | relaxed; space-group type = Fm-3m, No. 225; E = -2.672 eV/atom; formation enthalpy at 0 K = -0.043 eV per atom
1.0
0.0000 3.8733 3.8733
3.8733 0.0000 3.8733
3.8733 3.8733 0.0000
Zn Mo
6 1
Cartesian
1.9367 1.9367 0.0000 Zn
1.9367 0.0000 1.9367 Zn
3.8733 1.9367 1.9367 Zn
0.0000 1.9367 1.9367 Zn
1.9367 3.8733 1.9367 Zn
1.9367 1.9367 3.8733 Zn
0.0000 0.0000 0.0000 Mo

=====

# 12
Zn7Mo | Materials Project | GGA-PBE | relaxed; space-group type = Fm-3m, No. 225; E = -2.483 eV/atom; formation enthalpy at 0 K = -0.025 eV per atom
1.0
0.0000 3.9096 3.9096
3.9096 0.0000 3.9096
3.9096 3.9096 0.0000
Zn Mo
7 1
Cartesian
0.0000 0.0000 0.0000 Zn
1.9548 1.9548 0.0000 Zn
1.9548 0.0000 1.9548 Zn
3.9096 1.9548 1.9548 Zn
0.0000 1.9548 1.9548 Zn
1.9548 3.9096 1.9548 Zn
1.9548 1.9548 3.9096 Zn
3.9096 3.9096 3.9096 Mo

=====

# 13
ZrMo | Materials Project | GGA-PBE | relaxed; space-group type = Cmmm, No. 65; magnetic moment = 0.00 μB per atom; E = -9.592 eV/atom; formation enthalpy at 0 K = 0.105 eV per atom
1.0
1.6700 -2.4901 0.0000
1.6700 2.4901 0.0000
0.0000 0.0000 4.5027
Zr Mo
1 1
Cartesian
0.0000 0.0000 0.0000 Zr
1.6700 0.0000 2.2513 Mo

=====

# 14
Na3NbN2 | Materials Project | GGA-PBE | relaxed; space-group type = P2_1/c, No. 14; magnetic moment = 0.00 μB per atom; E = -5.417 eV/atom; formation enthalpy at 0 K = -0.414 eV per atom
1.0
6.2164 0.0000 0.0000
0.0000 10.4593 0.0000
-1.5484 0.0000 6.7331
Na Nb N
12 4 8
Cartesian
-0.2635 2.5789 2.5769 Na
-1.0377 2.6507 5.9435 Na
1.0408 0.2375 1.1638 Na
0.2665 4.9921 4.5303 Na
0.7297 0.1315 4.6663 Na
1.5039 5.0981 1.2997 Na
3.1640 5.3612 5.4334 Na
3.9382 10.3278 2.0668 Na
4.4014 5.4672 2.2028 Na
3.6272 10.2218 5.5693 Na
5.7056 7.8086 0.7896 Na
4.9314 7.8804 4.1562 Na
1.8308 7.7472 3.1632 Nb
1.0566 7.9418 6.5298 Nb
3.6113 2.5175 0.2033 Nb
2.8371 2.7121 3.5699 Nb
0.3494 6.6702 2.7746 N
-0.4248 9.0187 6.1412 N
1.4396 2.5882 5.0087 N
2.2138 2.6414 1.6422 N
2.4541 7.8179 5.0909 N
3.2284 7.8711 1.7244 N
5.0927 1.4406 0.5919 N
4.3185 3.7891 3.9585 N

=====

# 15
Na3NiN2 | Materials Project | GGA-PBE | relaxed; space-group type = Ia-3, No. 206; magnetic moment = 0.09 μB per atom; E = -3.988 eV/atom; formation enthalpy at 0 K = 0.295 eV per atom
1.0
-5.3797 5.3797 5.3797
5.3797 -5.3797 5.3797
5.3797 5.3797 -5.3797
Na Ni N
24 8 16
Cartesian
9.0970 1.1618 -0.9899 Na
6.3696 -3.7173 4.2178 Na
4.2178 -0.9899 1.6623 Na
7.0420 1.1618 0.9899 Na
4.3897 -1.6623 4.2178 Na
4.2178 6.3696 -3.7173 Na
4.2178 4.3897 -1.6623 Na
4.3897 1.6623 1.1618 Na
1.6623 4.2178 -0.9899 Na
4.2178 0.9899 3.7173 Na
6.3696 3.7173 1.1618 Na
3.7173 4.2178 0.9899 Na
1.6623 1.1618 4.3897 Na
-0.9899 1.6623 4.2178 Na
1.1618 4.3897 1.6623 Na
3.7173 1.1618 6.3696 Na
0.9899 3.7173 4.2178 Na
1.1618 0.9899 7.0420 Na
1.1618 -0.9899 9.0970 Na
0.9899 7.0420 1.1618 Na
-1.6623 4.2178 4.3898 Na
1.1618 6.3696 3.7173 Na
-0.9899 9.0970 1.1618 Na
-3.7173 4.2178 6.3696 Na
3.7826 1.5970 -1.5970 Ni
6.9767 -1.5970 1.5970 Ni
1.5970 -1.5970 3.7826 Ni
1.5970 1.5970 1.5970 Ni
-1.5970 3.7826 1.5970 Ni
1.5970 6.9767 -1.5970 Ni
3.7826 3.7826 3.7826 Ni
-1.5970 1.5970 6.9767 Ni
2.6898 2.6898 -2.6898 N
2.6898 -2.6898 2.6898 N
2.6898 0.7203 0.0000 N
5.3797 2.6898 -0.7203 N
0.7203 0.0000 2.6898 N
6.0999 0.0000 2.6898 N
0.0000 2.6898 0.7203 N
2.6898 -0.7203 5.3797 N
-2.6898 2.6898 2.6898 N
2.6898 2.6898 2.6898 N
2.6898 6.0999 0.0000 N
5.3797 2.6898 4.6594 N
-0.7203 5.3797 2.6898 N
4.6594 5.3797 2.6898 N
0.0000 2.6898 6.0999 N
2.6898 4.6594 5.3797 N

=====

# 16
Na3NiN2 | Materials Project | GGA-PBE | relaxed; space-group type = I4_1/amd, No. 141; magnetic moment = 0.09 μB per atom; E = -4.240 eV/atom; formation enthalpy at 0 K = 0.043 eV per atom
1.0
-3.9966 3.9966 6.2718
3.9966 -3.9966 6.2718
3.9966 3.9966 -6.2718
Na Ni N
12 4 8
Cartesian
1.6715 -0.3268 1.5679 Na
6.3217 -0.3268 1.5679 Na
3.9966 1.9983 0.1134 Na
1.6715 3.6699 -1.5679 Na
2.3251 -0.3268 4.7038 Na
3.9966 1.9983 3.0225 Na
0.0000 1.9983 3.2493 Na
1.6715 4.3234 1.5679 Na
2.3251 0.3268 7.8397 Na
0.0000 1.9983 6.1584 Na
-2.3251 4.3234 4.7038 Na
2.3251 4.3234 4.7038 Na
3.9966 1.9983 -2.7040 Ni
0.0000 1.9983 0.4319 Ni
3.9966 1.9983 5.8399 Ni
0.0000 1.9983 8.9758 Ni
3.9966 -0.3086 2.6450 N
3.9966 3.6880 -2.6450 N
1.6897 1.9983 0.4909 N
2.3069 -1.9983 6.7627 N
1.6897 5.9949 -0.4909 N
2.3069 1.9983 5.7809 N
0.0000 0.3086 8.9168 N
0.0000 4.3052 3.6268 N

=====

# 17
Na8N3O | Materials Project | GGA-PBE | relaxed; space-group type = Pm-3m, No. 221; magnetic moment = 0.25 μB per atom; E = -3.314 eV/atom; formation enthalpy at 0 K = 0.007 eV per atom
1.0
5.7883 0.0000 0.0000
0.0000 5.7883 0.0000
0.0000 0.0000 5.7883
Na N O
8 3 1
Cartesian
1.4126 1.4126 1.4126 Na
1.4126 1.4126 4.3757 Na
1.4126 4.3757 1.4126 Na
1.4126 4.3757 4.3757 Na
4.3757 1.4126 1.4126 Na
4.3757 1.4126 4.3757 Na
4.3757 4.3757 1.4126 Na
4.3757 4.3757 4.3757 Na
0.0000 2.8942 2.8942 N
2.8942 0.0000 2.8942 N
2.8942 2.8942 0.0000 N
0.0000 0.0000 0.0000 O

=====

# 18
Na4NO | Materials Project | GGA-PBE | relaxed; space-group type = P4/mmm, No. 123; magnetic moment = 0.17 μB per atom; E = -3.443 eV/atom; formation enthalpy at 0 K = -0.462 eV per atom
1.0
4.0147 0.0000 0.0000
0.0000 4.0147 0.0000
0.0000 0.0000 5.8749
Na N O
4 1 1
Cartesian
0.0000 2.0073 1.3987 Na
0.0000 2.0073 4.4762 Na
2.0073 0.0000 1.3987 Na
2.0073 0.0000 4.4762 Na
0.0000 0.0000 2.9374 N
2.0073 2.0073 0.0000 O

=====

# 19
NaPNO3 | Materials Project | GGA-PBE | relaxed; space-group type = P6_3, No. 173; magnetic moment = 0.17 μB per atom; E = -5.854 eV/atom; formation enthalpy at 0 K = -1.211 eV per atom
1.0
5.7622 0.0000 0.0000
-2.8811 4.9902 0.0000
0.0000 0.0000 6.3723
Na P N O
2 2 2 6
Cartesian
0.0000 0.0000 0.0000 Na
0.0000 0.0000 3.1862 Na
0.0000 3.3268 1.1659 P
2.8811 1.6634 4.3521 P
0.0000 3.3268 5.8104 N
2.8811 1.6634 2.6243 N
-0.1550 1.8619 1.5866 O
-1.1911 4.1935 1.5866 O
1.5350 1.0652 4.7728 O
1.3461 3.9250 1.5866 O
4.0722 0.7967 4.7728 O
3.0361 3.1283 4.7728 O

=====

# 20
Na3TiP3NO9 | Materials Project | GGA-PBE | relaxed; space-group type = P2_13, No. 198; magnetic moment = 0.06 μB per atom; E = -6.949 eV/atom; formation enthalpy at 0 K = -2.550 eV per atom
1.0
9.6297 0.0000 0.0000
0.0000 9.6297 0.0000
0.0000 0.0000 9.6297
Na Ti P N O
12 4 12 4 36
Cartesian
0.5352 4.2796 5.3501 Na
1.3715 6.1864 8.2581 Na
2.3238 7.3059 2.4911 Na
2.4911 2.3238 7.3059 Na
3.4433 3.4433 3.4433 Na
4.2796 5.3501 0.5352 Na
5.3501 0.5352 4.2796 Na
6.1864 8.2581 1.3715 Na
7.1386 7.1386 7.1386 Na
7.3059 2.4911 2.3238 Na
8.2581 1.3715 6.1864 Na
9.0945 9.0945 9.0945 Na
1.6257 1.6257 1.6257 Ti
3.1891 8.0040 6.4406 Ti
6.4406 3.1891 8.0040 Ti
8.0040 6.4406 3.1891 Ti
0.0388 8.0539 5.6142 P
0.7993 4.7760 1.5758 P
1.5758 0.7993 4.7760 P
3.2390 8.8304 9.5909 P
4.0155 4.8537 6.3907 P
4.7760 1.5758 0.7993 P
4.8537 6.3907 4.0155 P
5.6142 0.0388 8.0539 P
6.3907 4.0155 4.8537 P
8.0539 5.6142 0.0388 P
8.8304 9.5909 3.2390 P
9.5909 3.2390 8.8304 P
0.4885 9.1412 4.3264 N
4.3264 0.4885 9.1412 N
5.3033 5.3033 5.3033 N
9.1412 4.3264 0.4885 N
0.2115 5.7701 2.6064 O
0.6000 4.0287 7.7041 O
0.7861 1.9256 5.4149 O
0.9552 2.2084 9.4182 O
1.1971 3.4966 2.3378 O
1.3182 7.2919 6.0120 O
1.9256 5.4149 0.7861 O
2.2084 9.4182 0.9552 O
2.3378 1.1971 3.4966 O
2.4771 8.4326 8.3115 O
2.6064 0.2115 5.7701 O
2.8892 4.2148 5.6010 O
3.4966 2.3378 1.1971 O
3.6177 6.1331 7.1526 O
3.8596 7.4213 4.6033 O
4.0287 7.7041 0.6000 O
4.2148 5.6010 2.8892 O
4.6033 3.8596 7.4213 O
5.0264 8.6745 7.0233 O
5.4149 0.7861 1.9256 O
5.6010 2.8892 4.2148 O
5.7701 2.6064 0.2115 O
6.0120 1.3182 7.2919 O
6.1331 7.1526 3.6177 O
6.7405 9.0297 8.8436 O
7.0233 5.0264 8.6745 O
7.1526 3.6177 6.1331 O
7.2919 6.0120 1.3182 O
7.4213 4.6033 3.8596 O
7.7041 0.6000 4.0287 O
8.3115 2.4771 8.4326 O
8.4326 8.3115 2.4771 O
8.6745 7.0233 5.0264 O
8.8436 6.7405 9.0297 O
9.0297 8.8436 6.7405 O
9.4182 0.9552 2.2084 O